A:
Li4Fe3CoO8 after structural relaxation, computed with PBE+U.

```
data_Li4Fe3CoO8
_chemical_formula_sum 'Li8 Fe6 Co2 O16'
_symmetry_space_group_name_H-M 'P 1'
_symmetry_Int_Tables_number 1
_symmetry_space_group_name_Hall 'P 1'
_cell_length_a 5.968
_cell_length_b 5.990
_cell_length_c 8.339
_cell_angle_alpha 89.55
_cell_angle_beta 89.98
_cell_angle_gamma 89.91
loop_
_atom_site_label
_atom_site_type_symbol
_atom_site_fract_x
_atom_site_fract_y
_atom_site_fract_z
_atom_site_occupancy
Li1 Li 0.000 0.000 0.000 1
Li2 Li 0.000 0.500 0.499 1
Li3 Li 0.248 0.252 0.750 1
Li4 Li 0.251 0.750 0.248 1
Li5 Li 0.500 0.000 0.000 1
Li6 Li 0.500 0.500 0.500 1
Li7 Li 0.750 0.249 0.751 1
Li8 Li 0.751 0.748 0.249 1
Fe1 Fe 0.000 0.999 0.499 1
Fe2 Fe 0.250 0.250 0.249 1
Fe3 Fe 0.250 0.750 0.752 1
Fe4 Fe 0.501 0.499 0.000 1
Fe5 Fe 0.751 0.250 0.249 1
Fe6 Fe 0.751 0.749 0.751 1
Co1 Co 0.000 0.500 0.000 1
Co2 Co 0.500 0.001 0.500 1
O1 O 0.000 0.984 0.745 1
O2 O 0.001 0.014 0.254 1
O3 O 0.001 0.511 0.768 1
O4 O 0.246 0.238 0.493 1
O5 O 0.246 0.762 0.508 1
O6 O 0.252 0.736 0.993 1
O7 O 0.253 0.263 0.006 1
O8 O 0.499 0.484 0.244 1
O9 O 0.500 0.012 0.263 1
O10 O 0.500 0.987 0.735 1
O11 O 0.501 0.516 0.755 1
O12 O 0.747 0.263 0.006 1
O13 O 0.749 0.735 0.993 1
O14 O 0.754 0.239 0.493 1
O15 O 0.754 0.762 0.507 1
O16 O 0.999 0.487 0.232 1
```

Magnetic moment in μB per formula unit: 15.000

B:
Li4Fe3CoO8 after structural relaxation, computed with PBE+U.

```
data_Li4Fe3CoO8
_chemical_formula_sum 'Li8 Fe6 Co2 O16'
_symmetry_space_group_name_H-M 'C 1 2/m 1'
_symmetry_Int_Tables_number 12
_symmetry_space_group_name_Hall '-C 2y'
_cell_length_a 10.344
_cell_length_b 5.892
_cell_length_c 5.099
_cell_angle_alpha 90.00
_cell_angle_beta 109.36
_cell_angle_gamma 90.00
loop_
_atom_site_label
_atom_site_type_symbol
_atom_site_fract_x
_atom_site_fract_y
_atom_site_fract_z
_atom_site_occupancy
Li1 Li 0.246 0.000 0.474 1
Li2 Li 0.250 0.250 0.000 1
Fe1 Fe 0.000 0.246 0.500 1
Fe2 Fe 0.000 0.500 0.000 1
Co1 Co 0.000 0.000 0.000 1
O1 O 0.112 0.000 0.755 1
O2 O 0.112 0.241 0.237 1
O3 O 0.116 0.500 0.742 1
```

Magnetic moment in μB per formula unit: 15.004

So which one is most stable? That would be B, about 15 meV per atom below the next structure.